An optimized crystal structure of CrCoSi, computed with PBE-GGA.

Values from the calculation:
Formation energy   -1.01 eV per formula unit
Space group   Pnma

Cell lengths 5.756, 3.601, 6.717 Å; angles 90.00, 90.00, 90.00 degrees
Positions (direct):
Cr 0.026 0.250 0.178
Cr 0.474 0.750 0.678
Cr 0.526 0.250 0.322
Cr 0.974 0.750 0.822
Co 0.146 0.250 0.558
Co 0.354 0.750 0.058
Co 0.646 0.250 0.942
Co 0.854 0.750 0.442
Si 0.239 0.750 0.375
Si 0.261 0.250 0.875
Si 0.739 0.750 0.125
Si 0.761 0.250 0.625